Record 1
A plane-wave DFT calculation with GGA-PBE was carried out for a geometry-optimized TlCdF3 structure.

Energy of formation from the pure elements ... -2.2887 eV per atom

Cell: 6.355 6.361 4.498 Å, 90.00 90.09 90.00°
Space group Cm (No. 8)
Unique sites:
1 Tl 0.000 0.000 0.000 (multiplicity 2)
2 Cd 0.006 0.500 0.510 (multiplicity 2)
3 F 0.007 0.500 0.012 (multiplicity 2)
4 F 0.259 0.253 0.514 (multiplicity 4)

***

Record 2
A plane-wave DFT calculation with GGA-PBE was carried out for a geometry-optimized Hf5Sc5Si6 structure.

Energy of formation from the pure elements ... -0.7038 eV per atom

Cell: 5.692 13.706 7.881 Å, 90.00 90.00 90.00°
Space group Amm2 (No. 38)
Unique sites:
1 Hf 0.000 0.000 0.000 (multiplicity 2)
2 Hf 0.250 0.166 0.748 (multiplicity 8)
3 Sc 0.000 0.122 0.369 (multiplicity 4)
4 Sc 0.500 0.000 0.492 (multiplicity 2)
5 Sc 0.500 0.122 0.124 (multiplicity 4)
6 Si 0.000 0.000 0.644 (multiplicity 2)
7 Si 0.000 0.197 0.050 (multiplicity 4)
8 Si 0.500 0.000 0.853 (multiplicity 2)
9 Si 0.500 0.198 0.445 (multiplicity 4)

***

Record 3
A plane-wave DFT calculation with GGA-PBE was carried out for a geometry-optimized DyLuO3 structure.

Energy of formation from the pure elements ... -3.9916 eV per atom

Cell: 5.876 8.234 5.613 Å, 90.00 90.00 90.00°
Space group Pnma (No. 62)
Unique sites:
1 Dy 0.053 0.250 0.013 (multiplicity 4)
2 Lu 0.000 0.000 0.500 (multiplicity 4)
3 O 0.071 0.750 0.361 (multiplicity 4)
4 O 0.184 0.572 0.820 (multiplicity 8)

***

Record 4
A plane-wave DFT calculation with GGA-PBE was carried out for a geometry-optimized Ba2CeZrO6 structure.

Energy of formation from the pure elements ... -3.5807 eV per atom

Cell: 4.350 4.350 8.800 Å, 90.00 90.00 90.00°
Space group P4/mmm (No. 123)
Unique sites:
1 Ba 0.000 0.000 0.237 (multiplicity 2)
2 Ce 0.500 0.500 0.500 (multiplicity 1)
3 Zr 0.500 0.500 0.000 (multiplicity 1)
4 O 0.000 0.500 0.000 (multiplicity 2)
5 O 0.000 0.500 0.500 (multiplicity 2)
6 O 0.500 0.500 0.238 (multiplicity 2)

***

Record 5
A plane-wave DFT calculation with GGA-PBE was carried out for a geometry-optimized K4BaV2S8 structure.

Energy of formation from the pure elements ... -1.5376 eV per atom

Cell: 9.094 18.653 10.032 Å, 90.00 90.00 90.00°
Space group Ibam (No. 72)
Unique sites:
1 K 0.000 0.249 0.250 (multiplicity 8)
2 K 0.126 0.423 0.000 (multiplicity 8)
3 Ba 0.000 0.000 0.250 (multiplicity 4)
4 V 0.209 0.134 0.000 (multiplicity 8)
5 S 0.024 0.108 0.500 (multiplicity 8)
6 S 0.192 0.412 0.324 (multiplicity 16)
7 S 0.232 0.249 0.000 (multiplicity 8)

***

Record 6
A plane-wave DFT calculation with GGA-PBE was carried out for a geometry-optimized Tm2Sn3Pb3S12 structure.

Energy of formation from the pure elements ... -1.1273 eV per atom

Cell: 3.932 20.359 11.616 Å, 90.00 90.00 90.00°
Space group Pmc2_1 (No. 26)
Unique sites:
1 Tm 0.000 0.088 0.000 (multiplicity 2)
2 Tm 0.000 0.395 0.679 (multiplicity 2)
3 Sn 0.500 0.073 0.346 (multiplicity 2)
4 Sn 0.500 0.250 0.855 (multiplicity 2)
5 Sn 0.500 0.412 0.373 (multiplicity 2)
6 Pb 0.000 0.122 0.625 (multiplicity 2)
7 Pb 0.000 0.241 0.257 (multiplicity 2)
8 Pb 0.000 0.415 0.052 (multiplicity 2)
9 S 0.000 0.006 0.291 (multiplicity 2)
10 S 0.000 0.242 0.000 (multiplicity 2)
11 S 0.000 0.258 0.703 (multiplicity 2)
12 S 0.000 0.342 0.456 (multiplicity 2)
13 S 0.000 0.483 0.291 (multiplicity 2)
14 S 0.500 0.008 0.536 (multiplicity 2)
15 S 0.500 0.126 0.840 (multiplicity 2)
16 S 0.500 0.139 0.156 (multiplicity 2)
17 S 0.500 0.176 0.454 (multiplicity 2)
18 S 0.500 0.343 0.191 (multiplicity 2)
19 S 0.500 0.376 0.842 (multiplicity 2)
20 S 0.500 0.468 0.570 (multiplicity 2)

***

Record 7
A plane-wave DFT calculation with GGA-PBE was carried out for a geometry-optimized ThSeI2O14 structure.

Energy of formation from the pure elements ... -0.7315 eV per atom

Cell: 8.370 8.756 19.465 Å, 90.00 97.15 90.00°
Space group P2_1/c (No. 14)
Unique sites:
1 Th 0.110 0.060 0.123 (multiplicity 4)
2 Se 0.056 0.685 0.216 (multiplicity 4)
3 I 0.226 0.240 0.957 (multiplicity 4)
4 I 0.242 0.717 0.996 (multiplicity 4)
5 O 0.037 0.737 0.952 (multiplicity 4)
6 O 0.043 0.203 0.212 (multiplicity 4)
7 O 0.079 0.133 0.350 (multiplicity 4)
8 O 0.113 0.631 0.703 (multiplicity 4)
9 O 0.120 0.058 0.926 (multiplicity 4)
10 O 0.212 0.575 0.234 (multiplicity 4)
11 O 0.233 0.661 0.571 (multiplicity 4)
12 O 0.261 0.526 0.028 (multiplicity 4)
13 O 0.274 0.162 0.047 (multiplicity 4)
14 O 0.365 0.174 0.666 (multiplicity 4)
15 O 0.378 0.734 0.437 (multiplicity 4)
16 O 0.409 0.085 0.193 (multiplicity 4)
17 O 0.415 0.227 0.925 (multiplicity 4)
18 O 0.463 0.226 0.193 (multiplicity 4)

***

Record 8
A plane-wave DFT calculation with GGA-PBE was carried out for a geometry-optimized Mg5In structure.

Energy of formation from the pure elements ... -0.0330 eV per atom

Cell: 5.4534 5.4534 16.0676 Å, 90.00 90.00 120.00°
Space group R32 (No. 155, hexagonal axes)
Unique sites:
1 Mg 0.0000 0.0000 0.1671 (multiplicity 6)
2 Mg 0.0000 0.6666 0.0000 (multiplicity 9)
3 In 0.0000 0.0000 0.5000 (multiplicity 3)

***

Record 9
A plane-wave DFT calculation with GGA-PBE was carried out for a geometry-optimized CaSiBHO5 structure.

Energy above the lowest structure with this stoichiometry ... 123 meV/atom
Energy of formation from the pure elements ... -2.8099 eV per atom

Cell: 6.773 7.831 10.710 Å, 90.00 116.46 90.00°
Space group P2_1/c (No. 14)
Unique sites:
1 Ca 0.040 0.092 0.346 (multiplicity 4)
2 Si 0.446 0.619 0.177 (multiplicity 4)
3 B 0.344 0.076 0.835 (multiplicity 4)
4 H 0.276 0.544 0.688 (multiplicity 4)
5 O 0.152 0.128 0.828 (multiplicity 4)
6 O 0.244 0.532 0.049 (multiplicity 4)
7 O 0.298 0.041 0.261 (multiplicity 4)
8 O 0.374 0.600 0.308 (multiplicity 4)
9 O 0.473 0.679 0.644 (multiplicity 4)

***

Record 10
A plane-wave DFT calculation with GGA-PBE was carried out for a geometry-optimized Te2MoW2Se4 structure.

Energy above the lowest structure with this stoichiometry ... 27 meV/atom
Energy of formation from the pure elements ... -0.6198 eV per atom

Cell: 3.4016 3.4016 31.4401 Å, 90.00 90.00 120.00°
Space group P3m1 (No. 156)
Unique sites:
1 Te 0.0000 0.0000 0.0000 (multiplicity 1)
2 Te 0.0000 0.0000 0.1197 (multiplicity 1)
3 Mo 0.6667 0.3333 0.5972 (multiplicity 1)
4 W 0.0000 0.0000 0.8285 (multiplicity 1)
5 W 0.6667 0.3333 0.0599 (multiplicity 1)
6 Se 0.0000 0.0000 0.5447 (multiplicity 1)
7 Se 0.0000 0.0000 0.6497 (multiplicity 1)
8 Se 0.6667 0.3333 0.7759 (multiplicity 1)
9 Se 0.6667 0.3333 0.8811 (multiplicity 1)

***

Record 11
A plane-wave DFT calculation with GGA-PBE was carried out for a geometry-optimized SrRh2 structure.

Energy of formation from the pure elements ... -0.2647 eV per atom

Cell: 7.780 7.780 7.780 Å, 90.00 90.00 90.00°
Space group Fd-3m (No. 227, origin choice 2)
Unique sites:
1 Sr 0.125 0.125 0.125 (multiplicity 8)
2 Rh 0.000 0.000 0.500 (multiplicity 16)

***

Record 12
A plane-wave DFT calculation with GGA-PBE was carried out for a geometry-optimized Mg7Si4 structure.

Energy above the lowest structure with this stoichiometry ... 49 meV/atom
Energy of formation from the pure elements ... 0.0992 eV per atom

Cell: 5.556 5.896 13.601 Å, 94.44 96.61 100.55°
Space group P1 (No. 1)
Unique sites:
1 Mg 0.000 0.000 0.000 (multiplicity 1)
2 Mg 0.012 0.686 0.729 (multiplicity 1)
3 Mg 0.074 0.598 0.314 (multiplicity 1)
4 Mg 0.152 0.136 0.645 (multiplicity 1)
5 Mg 0.198 0.058 0.219 (multiplicity 1)
6 Mg 0.248 0.504 0.118 (multiplicity 1)
7 Mg 0.309 0.527 0.527 (multiplicity 1)
8 Mg 0.370 0.030 0.450 (multiplicity 1)
9 Mg 0.478 0.885 0.998 (multiplicity 1)
10 Mg 0.502 0.571 0.778 (multiplicity 1)
11 Mg 0.659 0.402 0.981 (multiplicity 1)
12 Mg 0.759 0.136 0.805 (multiplicity 1)
13 Mg 0.831 0.700 0.490 (multiplicity 1)
14 Mg 0.879 0.186 0.416 (multiplicity 1)
15 Si 0.136 0.494 0.907 (multiplicity 1)
16 Si 0.270 0.128 0.852 (multiplicity 1)
17 Si 0.524 0.413 0.328 (multiplicity 1)
18 Si 0.580 0.812 0.287 (multiplicity 1)
19 Si 0.614 0.892 0.631 (multiplicity 1)
20 Si 0.676 0.309 0.614 (multiplicity 1)
21 Si 0.743 0.262 0.173 (multiplicity 1)
22 Si 0.793 0.705 0.147 (multiplicity 1)

***

Among the records above, which one has the lowest energy of formation from the pure elements?
DyLuO3